[1]
Compound: Ti6Si7Ni16
Source: the Materials Project database
Functional: GGA-PBE
Structure: optimized geometry

Results
V: 12.021 Å³/atom
Uncorrected energy: -0.50240 Ry/atom
Formation energy from the elements: -703 meV per atom
Space-group type: Fm-3m
Crystal system: cubic

Geometry as POSCAR:
```
Ti6Si7Ni16
1.0
0.000 5.586 5.586
5.586 0.000 5.586
5.586 5.586 0.000
Ti Si Ni
6 7 16
Cartesian
5.586 5.586 2.255
5.586 2.255 5.586
8.917 5.586 5.586
2.255 5.586 5.586
5.586 8.917 5.586
5.586 5.586 8.917
2.793 2.793 0.000
2.793 0.000 2.793
5.586 2.793 2.793
0.000 2.793 2.793
2.793 5.586 2.793
2.793 2.793 5.586
5.586 5.586 5.586
6.902 4.270 4.270
1.849 1.849 1.849
3.737 3.737 1.849
3.737 1.849 3.737
4.270 4.270 4.270
6.902 6.902 4.270
6.902 4.270 6.902
9.323 7.435 7.435
1.849 3.737 3.737
4.270 6.902 4.270
4.270 4.270 6.902
6.902 6.902 6.902
7.435 9.323 7.435
7.435 7.435 9.323
9.323 9.323 9.323
4.270 6.902 6.902
```

---

[2]
Compound: Ti4Si4Ni
Source: the Materials Project database
Functional: GGA-PBE
Structure: optimized geometry

Results
V: 14.148 Å³/atom
Uncorrected energy: -0.53886 Ry/atom
Formation energy from the elements: -769 meV per atom
Space-group type: Pnma
Crystal system: orthorhombic

Geometry as POSCAR:
```
Ti4Si4Ni
1.0
15.673 0.000 0.000
0.000 5.099 0.000
0.000 0.000 12.748
Ti Si Ni
32 32 8
Cartesian
0.579 1.275 1.919
0.841 1.275 6.763
0.843 1.275 9.737
2.100 0.014 12.206
2.100 2.535 12.206
2.327 3.824 2.316
2.794 3.824 5.821
3.288 1.275 4.089
4.549 3.824 10.463
5.043 1.275 12.195
5.510 1.275 8.690
5.736 2.564 5.832
5.736 5.085 5.832
6.995 3.824 0.389
6.993 3.824 3.363
7.257 3.824 8.292
8.415 1.275 4.455
8.680 1.275 9.385
8.677 1.275 12.359
9.937 0.014 6.916
9.937 2.535 6.916
10.163 3.824 4.058
10.630 3.824 0.552
11.124 1.275 2.285
12.385 3.824 8.659
12.879 1.275 6.926
13.346 1.275 10.431
13.572 2.564 0.542
13.572 5.085 0.542
14.829 3.824 3.011
14.831 3.824 5.985
15.093 3.824 10.829
0.217 3.824 0.706
1.008 2.573 4.331
1.008 5.075 4.331
1.063 3.824 7.787
1.893 3.824 10.063
3.092 1.275 1.473
3.400 1.275 10.295
3.603 1.275 6.606
4.234 3.824 0.232
4.437 3.824 3.921
4.744 3.824 7.847
5.943 1.275 3.689
6.773 1.275 1.414
6.828 0.023 10.705
6.828 2.526 10.705
7.619 1.275 7.080
8.053 3.824 5.668
8.845 2.573 2.043
8.845 5.075 2.043
8.899 3.824 11.334
9.729 3.824 9.058
10.928 1.275 4.901
11.236 1.275 8.826
11.439 1.275 12.516
12.070 3.824 6.142
12.273 3.824 2.453
12.581 3.824 11.275
13.779 1.275 2.685
14.610 1.275 4.960
14.664 0.023 8.417
14.664 2.526 8.417
15.456 1.275 12.042
2.901 0.016 8.394
2.901 2.534 8.394
4.935 2.565 2.020
4.935 5.083 2.020
10.737 0.016 10.728
10.737 2.534 10.728
12.771 2.565 4.354
12.771 5.083 4.354
```

---

[3]
Compound: TiSiNi
Source: the Materials Project database
Functional: GGA-PBE
Structure: optimized geometry

Results
V: 13.143 Å³/atom
Uncorrected energy: -0.53008 Ry/atom
Formation energy from the elements: -845 meV per atom
Space-group type: Pnma
Crystal system: orthorhombic

Geometry as POSCAR:
```
TiSiNi
1.0
6.147 0.000 0.000
0.000 3.657 0.000
0.000 0.000 7.015
Ti Si Ni
4 4 4
Cartesian
0.139 0.914 1.267
2.934 2.743 4.775
3.213 0.914 2.240
6.008 2.743 5.748
1.438 2.743 2.651
1.636 0.914 6.159
4.511 2.743 0.857
4.709 0.914 4.365
0.869 0.914 3.929
2.205 2.743 0.422
3.942 0.914 6.594
5.278 2.743 3.086
```

---

[4]
Compound: TmSi2Ni10
Source: the Materials Project database
Functional: GGA-PBE
Structure: optimized geometry

Results
V: 11.846 Å³/atom
Uncorrected energy: -0.44643 Ry/atom
Formation energy from the elements: -449 meV per atom
Space-group type: P4/nmm
Crystal system: tetragonal

Geometry as POSCAR:
```
TmSi2Ni10
1.0
8.134 0.000 0.000
0.000 8.134 0.000
0.000 0.000 4.656
Tm Si Ni
2 4 20
Cartesian
2.033 2.033 1.034
6.100 6.100 3.622
0.000 0.000 2.328
0.000 4.067 2.328
4.067 0.000 2.328
4.067 4.067 2.328
0.000 0.000 0.000
0.000 4.067 0.000
0.229 2.033 3.396
0.833 6.100 3.540
2.033 0.229 3.396
2.033 3.838 3.396
2.033 4.900 1.115
2.033 7.301 1.115
3.234 6.100 3.540
3.838 2.033 3.396
4.067 0.000 0.000
4.067 4.067 0.000
4.296 6.100 1.260
4.900 2.033 1.115
6.100 0.833 3.540
6.100 3.234 3.540
6.100 4.296 1.260
6.100 7.905 1.260
7.301 2.033 1.115
7.905 6.100 1.260
```